Entry from the Materials Project: a geometry-optimized Mn3Cr2Te3O16 structure (PBE+U).

Unit cell a=6.310 b=6.310 c=9.153 alpha=93.89 beta=93.89 gamma=57.18
Sites, in units of the cell vectors:
Mn1 0.000 0.000 0.000
Mn2 0.169 0.670 0.505
Mn3 0.670 0.169 0.505
Cr1 0.158 0.158 0.710
Cr2 0.484 0.484 0.237
Te1 0.498 0.999 0.999
Te2 0.666 0.666 0.498
Te3 0.999 0.498 0.999
O1 0.154 0.649 0.108
O2 0.186 0.186 0.119
O3 0.307 0.307 0.871
O4 0.332 0.879 0.870
O5 0.363 0.363 0.378
O6 0.367 0.789 0.363
O7 0.488 0.986 0.609
O8 0.516 0.516 0.608
O9 0.649 0.154 0.108
O10 0.674 0.674 0.106
O11 0.789 0.367 0.363
O12 0.816 0.816 0.887
O13 0.821 0.821 0.405
O14 0.879 0.332 0.870
O15 0.986 0.488 0.609
O16 0.995 0.995 0.614

Summary:
Crystal system: monoclinic
Offset from the most stable computed form, kcal/mol of atoms: 0.00
Energy of formation, eV per atom: -1.72
E_tot, eV/cell: -156.592
Magnetization, μB/f.u.: 19.00